NbFe3Ni2P6O24 | GGA+U | relaxed

Cell and atoms, written as POSCAR:
```
NbFe3Ni2P6O24
1.0
7.3437 -4.3271 0.0000
7.3437 4.3271 0.0000
4.7941 0.0000 7.0477
P O Fe Ni Nb
6 24 3 2 1
Direct
0.0484 0.4470 0.7469
0.5405 0.2563 0.9539
0.9539 0.5405 0.2563
0.2563 0.9539 0.5405
0.4470 0.7469 0.0484
0.7469 0.0484 0.4470
0.4951 0.6807 0.8901
0.8901 0.4951 0.6807
0.1804 0.9964 0.3906
0.2552 0.9094 0.0616
0.6807 0.8901 0.4951
0.4439 0.5921 0.2438
0.0930 0.9373 0.7425
0.9942 0.6120 0.8196
0.7425 0.0930 0.9373
0.6120 0.8196 0.9942
0.2438 0.4439 0.5921
0.3906 0.1804 0.9964
0.9094 0.0616 0.2552
0.1113 0.5054 0.3176
0.5054 0.3176 0.1113
0.4102 0.7556 0.5587
0.5587 0.4102 0.7556
0.3176 0.1113 0.5054
0.9964 0.3906 0.1804
0.5921 0.2438 0.4439
0.0616 0.2552 0.9094
0.9373 0.7425 0.0930
0.8196 0.9942 0.6120
0.7556 0.5587 0.4102
0.1464 0.1464 0.1464
0.3561 0.3561 0.3561
0.6438 0.6438 0.6438
0.0060 0.0060 0.0060
0.5009 0.5009 0.5009
0.8572 0.8572 0.8572
```

Summary:
Formation enthalpy at 0 K in kJ per mole of atoms: -231.2

---

Y2Mo2O7 | GGA+U | relaxed

Cell and atoms, written as POSCAR:
```
Y2Mo2O7
1.0
-1.2162 3.0498 6.5988
-2.6705 6.8545 0.4561
-6.9035 1.1182 2.3271
O Y Mo
14 4 4
Direct
0.5369 0.9631 0.9631
0.7131 0.7131 0.2869
0.5369 0.9631 0.5369
0.9631 0.5369 0.9631
0.2500 0.2500 0.2500
0.9631 0.5369 0.5369
0.2869 0.7131 0.2869
0.9631 0.9631 0.5369
0.7131 0.2869 0.2869
0.2869 0.7131 0.7131
0.7131 0.2869 0.7131
0.2869 0.2869 0.7131
0.5369 0.5369 0.9631
0.0000 0.0000 0.0000
0.1250 0.6250 0.1250
0.6250 0.1250 0.1250
0.1250 0.1250 0.6250
0.1250 0.1250 0.1250
0.1250 0.6250 0.6250
0.6250 0.1250 0.6250
0.6250 0.6250 0.6250
0.6250 0.6250 0.1250
```

Summary:
Formation enthalpy at 0 K in kJ per mole of atoms: -283.0
Energy relative to the lowest polymorph listed for this composition in meV per atom: 13

---

LiFe6O4F8 | GGA+U | relaxed

Cell and atoms, written as POSCAR:
```
LiFe6O4F8
1.0
-2.4258 0.8818 7.4699
-5.8049 -0.0435 0.2993
-1.8916 -5.0713 2.1349
O F Fe Li
4 8 6 1
Direct
0.6756 0.6531 0.9933
0.0017 0.6830 0.3198
0.3344 0.9870 0.3675
0.0067 0.2787 0.7181
0.9823 0.2166 0.2339
0.2805 0.8857 0.9124
0.0189 0.7692 0.7880
0.3703 0.4228 0.4252
0.6652 0.0551 0.6013
0.6365 0.5953 0.5578
0.7186 0.0913 0.1067
0.3238 0.3713 0.9635
0.6817 0.3799 0.3017
0.4870 0.9875 0.9952
0.1642 0.3192 0.3645
0.0019 0.9793 0.0257
0.8544 0.6270 0.6839
0.3141 0.6732 0.6491
0.5656 0.9519 0.4195
```

Summary:
Formation enthalpy at 0 K in kJ per mole of atoms: -212.0
Energy relative to the lowest polymorph listed for this composition in meV per atom: 19

---

Zn2Ni11O13 | GGA+U | relaxed

Cell and atoms, written as POSCAR:
```
Zn2Ni11O13
1.0
1.2457 2.6982 -0.4124
3.8949 -3.0409 -19.0444
-3.8457 1.6863 -0.5838
Ni Zn O
11 2 13
Direct
0.6150 0.7700 0.3850
0.7697 0.4607 0.2303
0.1537 0.6927 0.8463
0.3846 0.2308 0.6154
0.3077 0.3845 0.6923
0.2310 0.5381 0.7690
0.4614 0.0773 0.5387
0.8461 0.3077 0.1539
0.0773 0.8453 0.9227
0.9226 0.1547 0.0774
0.5386 0.9227 0.4613
0.0000 0.0000 0.0000
0.6923 0.6154 0.3077
0.4605 0.0790 0.0395
0.2318 0.5364 0.2682
0.8461 0.3077 0.6538
0.9230 0.1540 0.5770
0.6924 0.6153 0.8076
0.0000 0.0001 0.5000
0.3079 0.3842 0.1921
0.3844 0.2312 0.1156
0.6156 0.7688 0.8844
0.0767 0.8466 0.4233
0.1529 0.6943 0.3471
0.5394 0.9211 0.9605
0.7693 0.4614 0.7307
```

Summary:
Formation enthalpy at 0 K in kJ per mole of atoms: -120.8

---

Li9Mn2Co5O16 | GGA+U | relaxed

Cell and atoms, written as POSCAR:
```
Li9Mn2Co5O16
1.0
2.9095 0.0000 0.0000
0.0000 5.1773 0.0000
0.0000 2.1907 19.3087
O Li Mn Co
16 9 2 5
Direct
0.0000 0.6582 0.9445
0.0000 0.8298 0.5542
0.0000 0.9354 0.1940
0.0000 0.0706 0.8044
0.0000 0.4265 0.6918
0.0000 0.1713 0.4445
0.5000 0.4378 0.1937
0.5000 0.8368 0.0586
0.5000 0.1632 0.9421
0.0000 0.5667 0.3097
0.5000 0.9080 0.6892
0.5000 0.5822 0.8096
0.5000 0.0693 0.3077
0.5000 0.7365 0.4460
0.5000 0.2654 0.5533
0.0000 0.3429 0.0569
0.5000 0.1252 0.1272
0.0000 0.3805 0.8753
0.5000 0.8704 0.8741
0.0000 0.6252 0.1259
0.5000 0.6242 0.6203
0.0000 0.8848 0.3802
0.0000 0.4999 0.4995
0.5000 0.3787 0.3781
0.0000 0.1107 0.6186
0.0000 0.0002 0.0004
0.5000 0.2489 0.7482
0.0000 0.7483 0.7487
0.5000 0.7508 0.2519
0.0000 0.2514 0.2514
0.5000 0.5000 0.0006
0.5000 0.0003 0.4993
```

Summary:
Formation enthalpy at 0 K in kJ per mole of atoms: -172.7
Energy relative to the lowest polymorph listed for this composition in meV per atom: 74

---

LiVF4 | GGA+U | relaxed

Cell and atoms, written as POSCAR:
```
LiVF4
1.0
-5.2869 -3.8186 0.1013
-2.8214 -3.5008 4.7252
-3.2552 4.1866 1.4480
F V Li
8 2 2
Direct
0.2295 0.3435 0.7005
0.7705 0.6565 0.2995
0.2326 0.9563 0.4928
0.6565 0.7705 0.7995
0.7674 0.0437 0.5072
0.3435 0.2295 0.2005
0.0437 0.7674 0.0072
0.9563 0.2326 0.9928
0.0000 0.5000 0.0000
0.5000 0.0000 0.5000
0.9939 0.0061 0.7500
0.0061 0.9939 0.2500
```

Summary:
Formation enthalpy at 0 K in kJ per mole of atoms: -310.6
Energy relative to the lowest polymorph listed for this composition in meV per atom: 0

---

Li4Mn3Nb2Ni3O16 | GGA+U | relaxed

Cell and atoms, written as POSCAR:
```
Li4Mn3Nb2Ni3O16
1.0
2.9424 5.1513 0.0000
-2.9424 5.1513 0.0000
0.0000 0.1161 9.6426
Mn O Ni Nb Li
3 16 3 2 4
Direct
0.1724 0.1724 0.2808
0.3399 0.8344 0.7844
0.8344 0.3399 0.7844
0.5017 0.9585 0.6612
0.6704 0.1727 0.9043
0.0080 0.0080 0.1957
0.8342 0.8342 0.4188
0.1727 0.6704 0.9043
0.9585 0.5017 0.6612
0.0076 0.0076 0.6923
0.0341 0.4648 0.1557
0.5174 0.5174 0.6698
0.3248 0.3248 0.3902
0.3367 0.8445 0.4053
0.1614 0.1614 0.8950
0.6571 0.6571 0.8898
0.8445 0.3367 0.4053
0.4821 0.4821 0.1462
0.4648 0.0341 0.1557
0.1687 0.6624 0.2874
0.6624 0.1687 0.2874
0.8308 0.8308 0.7858
0.6703 0.6703 0.5017
0.3481 0.3481 0.0145
0.3273 0.3273 0.5982
0.0036 0.0036 0.5040
0.6639 0.6639 0.1020
0.0018 0.0018 0.0107
```

Summary:
Formation enthalpy at 0 K in kJ per mole of atoms: -207.0

---

Y3Mn2Sb3O14 | GGA+U | relaxed

Cell and atoms, written as POSCAR:
```
Y3Mn2Sb3O14
1.0
5.1289 -5.1289 0.1565
-5.1289 -0.1565 5.1289
-0.1564 -5.1289 -5.1289
Y Mn Sb O
3 2 3 14
Direct
0.5000 0.5000 0.5000
0.5000 0.0000 0.0000
0.0000 0.5000 0.0000
0.5000 0.5000 0.0000
0.0000 0.0000 0.5000
0.0000 0.5000 0.5000
0.5000 0.0000 0.5000
0.0000 0.0000 0.0000
0.3587 0.0970 0.4030
0.6413 0.9030 0.5970
0.0970 0.9030 0.1413
0.9030 0.0970 0.8587
0.0834 0.3222 0.1778
0.9030 0.6413 0.4030
0.9166 0.6778 0.8222
0.3809 0.6191 0.8809
0.3222 0.6778 0.4166
0.3222 0.0834 0.8222
0.0970 0.3587 0.5970
0.6191 0.3809 0.1191
0.6778 0.3222 0.5834
0.6778 0.9166 0.1778
```

Summary:
Formation enthalpy at 0 K in kJ per mole of atoms: -262.7

---

Na3MnO3 | GGA+U | relaxed

Cell and atoms, written as POSCAR:
```
Na3MnO3
1.0
0.4004 -3.7492 2.1933
-8.5568 -2.9660 -3.5080
4.5071 -3.9810 -7.6275
O Na Mn
12 12 4
Direct
0.0000 0.8951 0.6956
0.5000 0.6049 0.1957
0.5000 0.1956 0.6049
0.0000 0.9060 0.0939
0.5000 0.4061 0.4060
0.0000 0.0939 0.9060
0.0000 0.1049 0.3043
0.5000 0.5940 0.5939
0.0000 0.3043 0.1049
0.5000 0.3951 0.8043
0.5000 0.8045 0.3951
0.0000 0.6955 0.8951
0.5000 0.6178 0.8662
0.0000 0.3396 0.3397
0.5000 0.8397 0.1604
0.5000 0.1338 0.3822
0.5000 0.3822 0.1338
0.0000 0.3662 0.8822
0.5000 0.1604 0.8397
0.0000 0.6338 0.1178
0.0000 0.8822 0.3662
0.0000 0.6603 0.6604
0.0000 0.1178 0.6338
0.5000 0.8662 0.6178
0.0000 0.8905 0.8904
0.5000 0.3904 0.6097
0.5000 0.6095 0.3904
0.0000 0.1097 0.1097
```

Summary:
Formation enthalpy at 0 K in kJ per mole of atoms: -169.4
Energy relative to the lowest polymorph listed for this composition in meV per atom: 11

---

Sr2CeVO6 | GGA+U | relaxed

Cell and atoms, written as POSCAR:
```
Sr2CeVO6
1.0
0.0000 -4.1578 -4.1578
4.1578 0.0000 -4.1578
4.1578 -4.1578 0.0000
V O Ce Sr
1 6 1 2
Direct
0.5000 0.5000 0.5000
0.2661 0.7339 0.2661
0.2661 0.2661 0.7339
0.7339 0.2661 0.7339
0.2661 0.7339 0.7339
0.7339 0.2661 0.2661
0.7339 0.7339 0.2661
0.0000 0.0000 0.0000
0.7500 0.7500 0.7500
0.2500 0.2500 0.2500
```

Summary:
Formation enthalpy at 0 K in kJ per mole of atoms: -303.4

---

PH3WC5O5 | GGA+U | relaxed

Cell and atoms, written as POSCAR:
```
PH3WC5O5
1.0
-2.4534 5.7740 2.7321
-10.2362 -2.6027 -3.6915
-3.8076 -6.5030 10.3241
O W C H P
20 4 20 12 4
Direct
0.0831 0.3821 0.3140
0.3456 0.1853 0.6059
0.3103 0.5096 0.5732
0.2041 0.9978 0.8104
0.6897 0.4904 0.4268
0.8103 0.4904 0.9268
0.1016 0.8990 0.5774
0.3984 0.8990 0.0774
0.9169 0.6179 0.6860
0.1544 0.1853 0.1059
0.2959 0.9978 0.3104
0.8456 0.8147 0.8941
0.6016 0.1010 0.9226
0.8984 0.1010 0.4226
0.6544 0.8147 0.3941
0.7959 0.0022 0.1896
0.5831 0.6179 0.1860
0.4169 0.3821 0.8140
0.7041 0.0022 0.6896
0.1897 0.5096 0.0732
0.0066 0.2447 0.8675
0.4934 0.2447 0.3675
0.9934 0.7553 0.1325
0.5066 0.7553 0.6325
0.8807 0.4024 0.9042
0.1001 0.2062 0.0188
0.3669 0.0863 0.3303
0.3999 0.2062 0.5188
0.2533 0.8475 0.0977
0.3807 0.5976 0.5958
0.1193 0.5976 0.0958
0.2467 0.8475 0.5977
0.2680 0.3334 0.8319
0.1331 0.0863 0.8303
0.6331 0.9137 0.6697
0.6001 0.7938 0.4812
0.7320 0.6666 0.1681
0.7533 0.1525 0.4023
0.2320 0.3334 0.3319
0.6193 0.4024 0.4042
0.7467 0.1525 0.9023
0.7680 0.6666 0.6681
0.8669 0.9137 0.1697
0.8999 0.7938 0.9812
0.0064 0.6127 0.3897
0.5961 0.2030 0.1074
0.5064 0.3873 0.1103
0.4039 0.7970 0.8926
0.1987 0.6671 0.8504
0.8013 0.3329 0.1496
0.9039 0.2030 0.6074
0.3013 0.6671 0.3504
0.6987 0.3329 0.6496
0.0961 0.7970 0.3926
0.9936 0.3873 0.6103
0.4936 0.6127 0.8897
0.8932 0.2945 0.6745
0.3932 0.7055 0.8255
0.1068 0.7055 0.3255
0.6068 0.2945 0.1745
```

Summary:
Formation enthalpy at 0 K in kJ per mole of atoms: -57.7

---

Li9Mn2Co5O16 | GGA+U | relaxed

Cell and atoms, written as POSCAR:
```
Li9Mn2Co5O16
1.0
2.8858 0.0000 0.0000
0.0000 5.8655 0.0000
0.0000 0.1093 17.3149
O Li Mn Co
16 9 2 5
Direct
0.0000 0.4870 0.8777
0.0000 0.0031 0.6178
0.5000 0.2670 0.7547
0.0000 0.4969 0.6301
0.5000 0.7312 0.7496
0.0000 0.9750 0.1134
0.5000 0.2655 0.2514
0.0000 0.5184 0.1240
0.5000 0.7813 0.9950
0.5000 0.7737 0.5004
0.0000 0.0217 0.8851
0.5000 0.7331 0.2507
0.0000 0.4823 0.3736
0.5000 0.2242 0.0012
0.5000 0.2267 0.4972
0.0000 0.0173 0.3770
0.5000 0.7466 0.8653
0.0000 0.5037 0.5091
0.5000 0.7516 0.3825
0.0000 0.5014 0.9943
0.5000 0.2509 0.6230
0.5000 0.7503 0.6241
0.0000 0.9956 0.2621
0.0000 0.9951 0.7344
0.5000 0.2518 0.1302
0.5000 0.7437 0.1266
0.0000 0.0024 0.9963
0.5000 0.2396 0.3804
0.0000 0.5089 0.7336
0.5000 0.2639 0.8671
0.0000 0.4979 0.2583
0.0000 0.9922 0.5138
```

Summary:
Formation enthalpy at 0 K in kJ per mole of atoms: -170.5
Energy relative to the lowest polymorph listed for this composition in meV per atom: 97

---

Which formula does entry 4 have?
Zn2Ni11O13

---

The highest formation enthalpy at 0 K belongs to which entry?
PH3WC5O5

---

The lowest formation enthalpy at 0 K belongs to which entry?
LiVF4